# BaNaCeFeO6 PBE with a Hubbard U relaxed
data_BaNaCeFeO6
_symmetry_space_group_name_H-M 'F -4 3 m'
_symmetry_Int_Tables_number 216
_symmetry_space_group_name_Hall 'F -4 2 3'
_cell_length_a 8.2561
_cell_length_b 8.2561
_cell_length_c 8.2561
_cell_angle_alpha 90.00
_cell_angle_beta 90.00
_cell_angle_gamma 90.00
loop_
_atom_site_label
_atom_site_fract_x
_atom_site_fract_y
_atom_site_fract_z
Ba1 0.0000 0.0000 0.0000
Na1 0.0000 0.0000 0.5000
Ce1 0.2500 0.2500 0.2500
Fe1 0.2500 0.2500 0.7500
O1 0.0169 0.2500 0.7500
# - Energy: -6.534 eV/atom
# - Energy of formation: -2438 meV per atom
# - Theoretical density: 5.3 Mg/m³
# - Size of the total moment: 0.3000 μB per atom

# Sr7CaFe6Co2O24 PBE with a Hubbard U relaxed
data_Sr7CaFe6Co2O24
_symmetry_space_group_name_H-M 'A m m 2'
_symmetry_Int_Tables_number 38
_cell_length_a 7.8227
_cell_length_b 11.0133
_cell_length_c 10.9911
_cell_angle_alpha 90.00
_cell_angle_beta 90.00
_cell_angle_gamma 90.00
loop_
_symmetry_equiv_pos_as_xyz
'x,y,z'
'-x,-y,z'
'-x,y,z'
'x,-y,z'
'x,y+1/2,z+1/2'
'-x,-y+1/2,z+1/2'
'-x,y+1/2,z+1/2'
'x,-y+1/2,z+1/2'
loop_
_atom_site_label
_atom_site_fract_x
_atom_site_fract_y
_atom_site_fract_z
Sr1 0.0000 0.0000 0.0000
Sr2 0.0000 0.0000 0.4963
Sr3 0.0000 0.2481 0.2481
Sr4 0.5000 0.0000 0.4962
Sr5 0.5000 0.2481 0.2481
Ca1 0.5000 0.0000 0.0001
Fe1 0.2505 0.0000 0.7486
Fe2 0.2505 0.2493 0.9983
Co1 0.2507 0.0000 0.2478
O1 0.0000 0.0000 0.2478
O2 0.0000 0.0000 0.7486
O3 0.0000 0.2495 0.9981
O4 0.2505 0.1220 0.3688
O5 0.2505 0.1257 0.6227
O6 0.2524 0.1206 0.1261
O7 0.2523 0.1243 0.8750
O8 0.5000 0.0000 0.2445
O9 0.5000 0.0000 0.7505
O10 0.5000 0.2476 0.9982
# - Energy: -6.259 eV/atom
# - Energy of formation: -2151 meV per atom
# - Theoretical density: 5.2 Mg/m³
# - Size of the total moment: 0.7816 μB per atom

# LiTiFeO4 PBE with a Hubbard U relaxed
data_LiTiFeO4
_symmetry_space_group_name_H-M 'I m m 2'
_symmetry_Int_Tables_number 44
_cell_length_a 3.8864
_cell_length_b 4.0094
_cell_length_c 9.3881
_cell_angle_alpha 90.00
_cell_angle_beta 90.00
_cell_angle_gamma 90.00
loop_
_symmetry_equiv_pos_as_xyz
'x,y,z'
'-x,-y,z'
'-x,y,z'
'x,-y,z'
'x+1/2,y+1/2,z+1/2'
'-x+1/2,-y+1/2,z+1/2'
'-x+1/2,y+1/2,z+1/2'
'x+1/2,-y+1/2,z+1/2'
loop_
_atom_site_label
_atom_site_fract_x
_atom_site_fract_y
_atom_site_fract_z
Li1 0.0000 0.0000 0.0000
Ti1 0.0000 0.5000 0.2152
Fe1 0.0000 0.0000 0.4559
O1 0.0000 0.0000 0.2356
O2 0.0000 0.0000 0.6788
O3 0.0000 0.5000 0.0006
O4 0.0000 0.5000 0.4239
# - Energy: -7.286 eV/atom
# - Energy of formation: -2563 meV per atom
# - Polymorph energy (0 for the lowest one): 0.055 eV per atom
# - Theoretical density: 4.0 Mg/m³
# - Size of the total moment: 0.7143 μB per atom

# MgTa4Mn4Nb4O24 PBE with a Hubbard U relaxed
data_MgTa4Mn4Nb4O24
_symmetry_space_group_name_H-M 'P 1 2 1'
_symmetry_Int_Tables_number 3
_cell_length_a 5.1830
_cell_length_b 5.9470
_cell_length_c 14.6648
_cell_angle_alpha 90.00
_cell_angle_beta 90.03
_cell_angle_gamma 90.00
loop_
_symmetry_equiv_pos_as_xyz
'x,y,z'
'-x,y,-z'
loop_
_atom_site_label
_atom_site_fract_x
_atom_site_fract_y
_atom_site_fract_z
Mg1 0.0000 0.0000 0.0000
Ta1 0.0165 0.6124 0.6592
Ta2 0.4896 0.7507 0.1579
Mn1 0.0000 0.1110 0.5000
Mn2 0.0000 0.5334 0.0000
Mn3 0.5000 0.2546 0.0000
Mn4 0.5000 0.7711 0.5000
Nb1 0.0143 0.0975 0.8137
Nb2 0.4883 0.2674 0.3402
O1 0.1477 0.2541 0.9202
O2 0.1530 0.8267 0.5827
O3 0.1544 0.3203 0.2594
O4 0.1539 0.8062 0.2428
O5 0.1796 0.3481 0.5977
O6 0.1945 0.8033 0.9085
O7 0.2958 0.0120 0.0957
O8 0.3100 0.5509 0.4007
O9 0.3381 0.5684 0.7455
O10 0.3448 0.5340 0.0831
O11 0.3462 0.0656 0.4197
O12 0.3640 0.0515 0.7586
# - Energy: -8.892 eV/atom
# - Energy of formation: -2900 meV per atom
# - Polymorph energy (0 for the lowest one): 0.006 eV per atom
# - Theoretical density: 6.3 Mg/m³
# - Size of the total moment: 0.5946 μB per atom